# Sr3Tb2B4O12, optimized geometry, DFT PBE
# * ρ: 5.1 Mg/m³
# * magnetization: 0.00 μB/cell
# * crystal system: orthorhombic
# * energy relative to the elements: -3.367 eV per atom
data_Sr3Tb2B4O12
_chemical_formula_sum 'Sr12 Tb8 B16 O48'
_symmetry_space_group_name_H-M 'P n a 21'
_symmetry_Int_Tables_number 33
_symmetry_space_group_name_Hall 'P 2c -2n'
_cell_length_a 7.406
_cell_length_b 8.722
_cell_length_c 16.433
_cell_angle_alpha 90.00
_cell_angle_beta 90.00
_cell_angle_gamma 90.00
loop_
_atom_site_label
_atom_site_type_symbol
_atom_site_fract_x
_atom_site_fract_y
_atom_site_fract_z
Sr1 Sr 0.029 0.169 0.000
Sr2 Sr 0.179 0.652 0.956
Sr3 Sr 0.184 0.646 0.706
Tb1 Tb 0.028 0.171 0.662
Tb2 Tb 0.183 0.533 0.332
B1 B 0.007 0.126 0.328
B2 B 0.161 0.456 0.129
B3 B 0.170 0.436 0.541
B4 B 0.213 0.349 0.829
O1 O 0.048 0.951 0.757
O2 O 0.061 0.930 0.901
O3 O 0.088 0.292 0.545
O4 O 0.090 0.560 0.184
O5 O 0.095 0.308 0.126
O6 O 0.111 0.259 0.325
O7 O 0.117 0.534 0.480
O8 O 0.125 0.487 0.834
O9 O 0.193 0.969 0.096
O10 O 0.197 0.000 0.579
O11 O 0.228 0.771 0.397
O12 O 0.239 0.276 0.755


# TiH2, optimized geometry, DFT PBE
# * ρ: 4.0 Mg/m³
# * crystal system: tetragonal
# * energy relative to the elements: -0.516 eV per atom
data_TiH2
_chemical_formula_sum 'Ti2 H4'
_symmetry_space_group_name_H-M 'P 4/n m m'
_symmetry_Int_Tables_number 129
_cell_length_a 2.921
_cell_length_b 2.921
_cell_length_c 4.868
_cell_angle_alpha 90.00
_cell_angle_beta 90.00
_cell_angle_gamma 90.00
loop_
_symmetry_equiv_pos_as_xyz
'x,y,z'
'-x,-y,-z'
'-y+1/2,x,z'
'y+1/2,-x,-z'
'-x+1/2,-y+1/2,z'
'x+1/2,y+1/2,-z'
'y,-x+1/2,z'
'-y,x+1/2,-z'
'x+1/2,-y,-z'
'-x+1/2,y,z'
'-y,-x,-z'
'y,x,z'
'-x,y+1/2,-z'
'x,-y+1/2,z'
'y+1/2,x+1/2,-z'
'-y+1/2,-x+1/2,z'
loop_
_atom_site_label
_atom_site_type_symbol
_atom_site_fract_x
_atom_site_fract_y
_atom_site_fract_z
Ti1 Ti 0.250 0.250 0.236
H1 H 0.250 0.250 0.846
H2 H 0.250 0.750 0.500


# ScNiP, optimized geometry, DFT PBE
# * ρ: 4.9 Mg/m³
# * magnetization: 0.00 μB/cell
# * crystal system: cubic
# * piezoelectric modulus e_max: 0.80 C/m2
# * energy relative to the elements: -1.035 eV per atom
data_ScNiP
_chemical_formula_sum 'Sc4 Ni4 P4'
_symmetry_space_group_name_H-M 'F -4 3 m'
_symmetry_Int_Tables_number 216
_symmetry_space_group_name_Hall 'F -4 2 3'
_cell_length_a 5.674
_cell_length_b 5.674
_cell_length_c 5.674
_cell_angle_alpha 90.00
_cell_angle_beta 90.00
_cell_angle_gamma 90.00
loop_
_atom_site_label
_atom_site_type_symbol
_atom_site_fract_x
_atom_site_fract_y
_atom_site_fract_z
Sc1 Sc 0.000 0.000 0.000
Ni1 Ni 0.250 0.250 0.250
P1 P 0.000 0.000 0.500


# La6S4BrN3, optimized geometry, DFT PBE
# * ρ: 5.4 Mg/m³
# * magnetization: 0.02 μB/cell
# * crystal system: orthorhombic
# * energy relative to the elements: -2.181 eV per atom
data_La6S4BrN3
_chemical_formula_sum 'La24 S16 Br4 N12'
_symmetry_space_group_name_H-M 'P n m a'
_symmetry_Int_Tables_number 62
_symmetry_space_group_name_Hall '-P 2ac 2n'
_cell_length_a 11.704
_cell_length_b 4.112
_cell_length_c 27.893
_cell_angle_alpha 90.00
_cell_angle_beta 90.00
_cell_angle_gamma 90.00
loop_
_atom_site_label
_atom_site_type_symbol
_atom_site_fract_x
_atom_site_fract_y
_atom_site_fract_z
La1 La 0.058 0.250 0.078
La2 La 0.061 0.250 0.808
La3 La 0.100 0.250 0.536
La4 La 0.124 0.250 0.283
La5 La 0.245 0.750 0.436
La6 La 0.247 0.750 0.172
S1 S 0.136 0.750 0.736
S2 S 0.146 0.750 0.995
S3 S 0.190 0.750 0.863
S4 S 0.207 0.750 0.602
Br1 Br 0.038 0.750 0.362
N1 N 0.063 0.750 0.126
N2 N 0.098 0.750 0.486
N3 N 0.113 0.750 0.237


# Sr2Mg, optimized geometry, DFT PBE
# * ρ: 2.5 Mg/m³
# * magnetization: 0.00 μB/cell
# * crystal system: orthorhombic
# * energy relative to the elements: 0.127 eV per atom
data_Sr2Mg
_chemical_formula_sum 'Sr8 Mg4'
_symmetry_space_group_name_H-M 'A m m 2'
_symmetry_Int_Tables_number 38
_symmetry_space_group_name_Hall 'A 2 -2'
_cell_length_a 6.191
_cell_length_b 4.167
_cell_length_c 20.207
_cell_angle_alpha 90.00
_cell_angle_beta 90.00
_cell_angle_gamma 90.00
loop_
_atom_site_label
_atom_site_type_symbol
_atom_site_fract_x
_atom_site_fract_y
_atom_site_fract_z
Sr1 Sr 0.000 0.000 0.000
Sr2 Sr 0.000 0.000 0.323
Sr3 Sr 0.000 0.000 0.663
Sr4 Sr 0.500 0.000 0.881
Mg1 Mg 0.500 0.000 0.213
Mg2 Mg 0.500 0.000 0.550


# CeMg2, optimized geometry, DFT PBE
# * ρ: 4.4 Mg/m³
# * crystal system: trigonal
# * energy relative to the elements: 0.032 eV per atom
data_CeMg2
_chemical_formula_sum 'Ce2 Mg4'
_symmetry_space_group_name_H-M 'P -3 m 1'
_symmetry_Int_Tables_number 164
_symmetry_space_group_name_Hall '-P 3 2"'
_cell_length_a 3.1771
_cell_length_b 3.1771
_cell_length_c 16.4111
_cell_angle_alpha 90.00
_cell_angle_beta 90.00
_cell_angle_gamma 120.00
loop_
_atom_site_label
_atom_site_type_symbol
_atom_site_fract_x
_atom_site_fract_y
_atom_site_fract_z
Ce1 Ce 0.3333 0.6667 0.4085
Mg1 Mg 0.3333 0.6667 0.0782
Mg2 Mg 0.3333 0.6667 0.7687


# CaAlH5, optimized geometry, DFT PBE
# * ρ: 1.8 Mg/m³
# * magnetization: 0.00 μB/cell
# * excess energy over the best structure of this formula in the dataset: 9 meV per atom
# * crystal system: orthorhombic
# * piezoelectric modulus e_max: 2.28 C/m2
# * energy relative to the elements: -0.400 eV per atom
data_CaAlH5
_chemical_formula_sum 'Ca4 Al4 H20'
_symmetry_space_group_name_H-M 'P 21 21 21'
_symmetry_Int_Tables_number 19
_symmetry_space_group_name_Hall 'P 2ac 2ab'
_cell_length_a 4.417
_cell_length_b 4.941
_cell_length_c 12.169
_cell_angle_alpha 90.00
_cell_angle_beta 90.00
_cell_angle_gamma 90.00
loop_
_atom_site_label
_atom_site_type_symbol
_atom_site_fract_x
_atom_site_fract_y
_atom_site_fract_z
Ca1 Ca 0.218 0.148 0.341
Al1 Al 0.191 0.130 0.087
H1 H 0.011 0.873 0.493
H2 H 0.035 0.874 0.014
H3 H 0.114 0.630 0.322
H4 H 0.143 0.088 0.678
H5 H 0.184 0.596 0.660


# Mg6Cu16Si7, optimized geometry, DFT PBE
# * ρ: 5.7 Mg/m³
# * crystal system: cubic
# * energy relative to the elements: -0.164 eV per atom
data_Mg6Cu16Si7
_chemical_formula_sum 'Mg24 Cu64 Si28'
_symmetry_space_group_name_H-M 'F m -3 m'
_symmetry_Int_Tables_number 225
_symmetry_space_group_name_Hall '-F 4 2 3'
_cell_length_a 11.671
_cell_length_b 11.671
_cell_length_c 11.671
_cell_angle_alpha 90.00
_cell_angle_beta 90.00
_cell_angle_gamma 90.00
loop_
_atom_site_label
_atom_site_type_symbol
_atom_site_fract_x
_atom_site_fract_y
_atom_site_fract_z
Mg1 Mg 0.000 0.000 0.202
Cu1 Cu 0.120 0.120 0.380
Cu2 Cu 0.167 0.167 0.167
Si1 Si 0.000 0.000 0.500
Si2 Si 0.000 0.250 0.250


Repeat the fourth record exactly.
# La6S4BrN3, optimized geometry, DFT PBE
# * ρ: 5.4 Mg/m³
# * magnetization: 0.02 μB/cell
# * crystal system: orthorhombic
# * energy relative to the elements: -2.181 eV per atom
data_La6S4BrN3
_chemical_formula_sum 'La24 S16 Br4 N12'
_symmetry_space_group_name_H-M 'P n m a'
_symmetry_Int_Tables_number 62
_symmetry_space_group_name_Hall '-P 2ac 2n'
_cell_length_a 11.704
_cell_length_b 4.112
_cell_length_c 27.893
_cell_angle_alpha 90.00
_cell_angle_beta 90.00
_cell_angle_gamma 90.00
loop_
_atom_site_label
_atom_site_type_symbol
_atom_site_fract_x
_atom_site_fract_y
_atom_site_fract_z
La1 La 0.058 0.250 0.078
La2 La 0.061 0.250 0.808
La3 La 0.100 0.250 0.536
La4 La 0.124 0.250 0.283
La5 La 0.245 0.750 0.436
La6 La 0.247 0.750 0.172
S1 S 0.136 0.750 0.736
S2 S 0.146 0.750 0.995
S3 S 0.190 0.750 0.863
S4 S 0.207 0.750 0.602
Br1 Br 0.038 0.750 0.362
N1 N 0.063 0.750 0.126
N2 N 0.098 0.750 0.486
N3 N 0.113 0.750 0.237